1.
Computed, not measured: an optimized crystal structure of Al17Mo4 at the PBE-GGA level of DFT.

Output
- total DFT energy (no corrections) (eV per atom) = -5.36
- magnetization (μB per formula unit) = 0.03

Unit cell a=5.2159 b=5.2159 c=28.9789 alpha=95.85 beta=95.85 gamma=56.50
Element x y z (fractional)
Al (0.0208, 0.3453, 0.8697)
Al (0.0354, 0.7114, 0.9459)
Al (0.0739, 0.3777, 0.7728)
Al (0.1105, 0.7672, 0.8440)
Al (0.1934, 0.8066, 0.7500)
Al (0.2142, 0.5904, 0.3945)
Al (0.2161, 0.5223, 0.5857)
Al (0.2328, 0.8895, 0.6560)
Al (0.2351, 0.5107, 0.4929)
Al (0.2886, 0.9646, 0.5541)
Al (0.2947, 0.6402, 0.2994)
Al (0.3453, 0.0208, 0.3697)
Al (0.3598, 0.7053, 0.2006)
Al (0.3777, 0.0739, 0.2728)
Al (0.4096, 0.7858, 0.1055)
Al (0.4777, 0.7839, 0.9143)
Al (0.4893, 0.7649, 0.0071)
Al (0.5107, 0.2351, 0.9929)
Al (0.5223, 0.2161, 0.0857)
Al (0.5904, 0.2142, 0.8945)
Al (0.6223, 0.9261, 0.7272)
Al (0.6402, 0.2947, 0.7994)
Al (0.6547, 0.9792, 0.6303)
Al (0.7053, 0.3598, 0.7006)
Al (0.7114, 0.0354, 0.4459)
Al (0.7649, 0.4893, 0.5071)
Al (0.7672, 0.1105, 0.3440)
Al (0.7839, 0.4777, 0.4143)
Al (0.7858, 0.4096, 0.6055)
Al (0.8066, 0.1934, 0.2500)
Al (0.8895, 0.2328, 0.1560)
Al (0.9261, 0.6223, 0.2272)
Al (0.9646, 0.2886, 0.0541)
Al (0.9792, 0.6547, 0.1303)
Mo (0.0284, 0.7484, 0.0412)
Mo (0.1417, 0.4510, 0.6797)
Mo (0.2516, 0.9716, 0.4588)
Mo (0.4510, 0.1417, 0.1797)
Mo (0.5490, 0.8583, 0.8203)
Mo (0.7484, 0.0284, 0.5412)
Mo (0.8583, 0.5490, 0.3203)
Mo (0.9716, 0.2516, 0.9588)

---

2.
Computed, not measured: an optimized crystal structure of Sb2Pt3 at the PBE-GGA level of DFT.

Output
- total DFT energy (no corrections) (eV per atom) = -5.65

Unit cell a=6.9953 b=6.9953 c=6.9953 alpha=123.83 beta=75.04 gamma=134.54
Element x y z (fractional)
Sb (0.1553, 0.2399, 0.3952)
Sb (0.3447, 0.7399, 0.0847)
Sb (0.6553, 0.2601, 0.9153)
Sb (0.8447, 0.7601, 0.6048)
Pt (0.1091, 0.6295, 0.7386)
Pt (0.2500, 0.2500, 0.0000)
Pt (0.3909, 0.1295, 0.5204)
Pt (0.6091, 0.8705, 0.4796)
Pt (0.7500, 0.7500, 0.0000)
Pt (0.8909, 0.3705, 0.2614)

---

3.
Computed, not measured: an optimized crystal structure of UGePt at the PBE-GGA level of DFT.

Output
- total DFT energy (no corrections) (eV per atom) = -7.95

Unit cell a=5.6354 b=5.6354 c=5.6354 alpha=134.13 beta=102.41 gamma=95.10
Element x y z (fractional)
U (0.0000, 0.0000, 0.0000)
U (0.5682, 0.0682, 0.5000)
Ge (0.1554, 0.3754, 0.7800)
Ge (0.5954, 0.3754, 0.2200)
Pt (0.4163, 0.7053, 0.7110)
Pt (0.9944, 0.7053, 0.2890)

---

4.
Computed, not measured: an optimized crystal structure of ZrMoW at the PBE-GGA level of DFT.

Output
- total DFT energy (no corrections) (eV per atom) = -10.92

Unit cell a=5.4136 b=5.4136 c=5.4136 alpha=120.24 beta=119.78 gamma=89.98
Element x y z (fractional)
Zr (0.3750, 0.1250, 0.2500)
Zr (0.6250, 0.8750, 0.7500)
Mo (0.0000, 0.0000, 0.5000)
Mo (0.0000, 0.5000, 0.0000)
W (0.0000, 0.5000, 0.5000)
W (0.5000, 0.5000, 0.0000)

---

5.
Computed, not measured: an optimized crystal structure of Nb40N17O17 at the PBE-GGA level of DFT.

Output
- total DFT energy (no corrections) (eV per atom) = -9.48
- magnetization (μB per formula unit) = 0.01

Unit cell a=100.7586 b=100.7586 c=100.7586 alpha=1.81 beta=1.81 gamma=1.81
Element x y z (fractional)
Nb (0.0000, 0.0000, 0.0000)
Nb (0.0243, 0.0243, 0.0243)
Nb (0.0500, 0.0500, 0.0500)
Nb (0.0742, 0.0742, 0.0742)
Nb (0.0996, 0.0996, 0.0996)
Nb (0.1246, 0.1246, 0.1246)
Nb (0.1496, 0.1496, 0.1496)
Nb (0.1751, 0.1751, 0.1751)
Nb (0.1996, 0.1996, 0.1996)
Nb (0.2246, 0.2246, 0.2246)
Nb (0.2496, 0.2496, 0.2496)
Nb (0.2746, 0.2746, 0.2746)
Nb (0.2997, 0.2997, 0.2997)
Nb (0.3243, 0.3243, 0.3243)
Nb (0.3500, 0.3500, 0.3500)
Nb (0.3743, 0.3743, 0.3743)
Nb (0.4000, 0.4000, 0.4000)
Nb (0.4246, 0.4246, 0.4246)
Nb (0.4496, 0.4496, 0.4496)
Nb (0.4746, 0.4746, 0.4746)
Nb (0.4997, 0.4997, 0.4997)
Nb (0.5247, 0.5247, 0.5247)
Nb (0.5496, 0.5496, 0.5496)
Nb (0.5746, 0.5746, 0.5746)
Nb (0.5996, 0.5996, 0.5996)
Nb (0.6246, 0.6246, 0.6246)
Nb (0.6497, 0.6497, 0.6497)
Nb (0.6743, 0.6743, 0.6743)
Nb (0.7000, 0.7000, 0.7000)
Nb (0.7243, 0.7243, 0.7243)
Nb (0.7496, 0.7496, 0.7496)
Nb (0.7746, 0.7746, 0.7746)
Nb (0.7996, 0.7996, 0.7996)
Nb (0.8246, 0.8246, 0.8246)
Nb (0.8496, 0.8496, 0.8496)
Nb (0.8746, 0.8746, 0.8746)
Nb (0.8996, 0.8996, 0.8996)
Nb (0.9246, 0.9246, 0.9246)
Nb (0.9496, 0.9496, 0.9496)
Nb (0.9747, 0.9747, 0.9747)
N (0.1870, 0.1870, 0.1870)
N (0.2121, 0.2121, 0.2121)
N (0.2371, 0.2371, 0.2371)
N (0.2621, 0.2621, 0.2621)
N (0.2871, 0.2871, 0.2871)
N (0.3122, 0.3122, 0.3122)
N (0.5120, 0.5120, 0.5120)
N (0.5371, 0.5371, 0.5371)
N (0.5621, 0.5621, 0.5621)
N (0.5871, 0.5871, 0.5871)
N (0.6121, 0.6121, 0.6121)
N (0.6372, 0.6372, 0.6372)
N (0.8621, 0.8621, 0.8621)
N (0.8871, 0.8871, 0.8871)
N (0.9121, 0.9121, 0.9121)
N (0.9371, 0.9371, 0.9371)
N (0.9621, 0.9621, 0.9621)
O (0.0121, 0.0121, 0.0121)
O (0.0621, 0.0621, 0.0621)
O (0.0872, 0.0872, 0.0872)
O (0.1121, 0.1121, 0.1121)
O (0.1371, 0.1371, 0.1371)
O (0.1621, 0.1621, 0.1621)
O (0.3621, 0.3621, 0.3621)
O (0.4120, 0.4120, 0.4120)
O (0.4371, 0.4371, 0.4371)
O (0.4621, 0.4621, 0.4621)
O (0.4871, 0.4871, 0.4871)
O (0.6621, 0.6621, 0.6621)
O (0.7121, 0.7121, 0.7121)
O (0.7621, 0.7621, 0.7621)
O (0.7871, 0.7871, 0.7871)
O (0.8121, 0.8121, 0.8121)
O (0.8370, 0.8370, 0.8370)

---

6.
Computed, not measured: an optimized crystal structure of LiSbP2O7 at the PBE-GGA level of DFT.

Output
- total DFT energy (no corrections) (eV per atom) = -6.70
- magnetization (μB per formula unit) = 0.00

Unit cell a=7.4601 b=9.0454 c=9.2777 alpha=90.00 beta=117.60 gamma=90.00
Element x y z (fractional)
Li (0.1830, 0.0677, 0.1094)
Li (0.1830, 0.4323, 0.6094)
Li (0.8170, 0.5677, 0.3906)
Li (0.8170, 0.9323, 0.8906)
Sb (0.2828, 0.0623, 0.6467)
Sb (0.2828, 0.4377, 0.1467)
Sb (0.7172, 0.5623, 0.8533)
Sb (0.7172, 0.9377, 0.3533)
P (0.0575, 0.7253, 0.7445)
P (0.0575, 0.7747, 0.2445)
P (0.4815, 0.7245, 0.0423)
P (0.4815, 0.7755, 0.5423)
P (0.5185, 0.2245, 0.4577)
P (0.5185, 0.2755, 0.9577)
P (0.9425, 0.2253, 0.7555)
P (0.9425, 0.2747, 0.2555)
O (0.0318, 0.6026, 0.6270)
O (0.0318, 0.8974, 0.1270)
O (0.0941, 0.6213, 0.1942)
O (0.0941, 0.8787, 0.6942)
O (0.1138, 0.2321, 0.7035)
O (0.1138, 0.2679, 0.2035)
O (0.2528, 0.6852, 0.9190)
O (0.2528, 0.8148, 0.4190)
O (0.3993, 0.2427, 0.5547)
O (0.3993, 0.2573, 0.0547)
O (0.4556, 0.0927, 0.3400)
O (0.4556, 0.4073, 0.8400)
O (0.4816, 0.6244, 0.6247)
O (0.4816, 0.8756, 0.1247)
O (0.5184, 0.1244, 0.8753)
O (0.5184, 0.3756, 0.3753)
O (0.5444, 0.5927, 0.1600)
O (0.5444, 0.9073, 0.6600)
O (0.6007, 0.7427, 0.9453)
O (0.6007, 0.7573, 0.4453)
O (0.7472, 0.1852, 0.5810)
O (0.7472, 0.3148, 0.0810)
O (0.8862, 0.7321, 0.7965)
O (0.8862, 0.7679, 0.2965)
O (0.9059, 0.1213, 0.3058)
O (0.9059, 0.3787, 0.8058)
O (0.9682, 0.1026, 0.8730)
O (0.9682, 0.3974, 0.3730)

---

7.
Computed, not measured: an optimized crystal structure of Rb2EuCl5 at the PBE-GGA level of DFT.

Output
- total DFT energy (no corrections) (eV per atom) = -4.63

Unit cell a=13.5003 b=9.0120 c=8.3057 alpha=90.00 beta=90.00 gamma=90.00
Element x y z (fractional)
Rb (0.1717, 0.0051, 0.0502)
Rb (0.1717, 0.4949, 0.0502)
Rb (0.3283, 0.5051, 0.5502)
Rb (0.3283, 0.9949, 0.5502)
Rb (0.6717, 0.0051, 0.4498)
Rb (0.6717, 0.4949, 0.4498)
Rb (0.8283, 0.5051, 0.9498)
Rb (0.8283, 0.9949, 0.9498)
Eu (0.0040, 0.2500, 0.5681)
Eu (0.4960, 0.7500, 0.0681)
Eu (0.5040, 0.2500, 0.9319)
Eu (0.9960, 0.7500, 0.4319)
Cl (0.0064, 0.2500, 0.9132)
Cl (0.0736, 0.5403, 0.6552)
Cl (0.0736, 0.9597, 0.6552)
Cl (0.1735, 0.2500, 0.3821)
Cl (0.1961, 0.7500, 0.3375)
Cl (0.3039, 0.2500, 0.8375)
Cl (0.3265, 0.7500, 0.8821)
Cl (0.4264, 0.0403, 0.1552)
Cl (0.4264, 0.4597, 0.1552)
Cl (0.4936, 0.7500, 0.4132)
Cl (0.5064, 0.2500, 0.5868)
Cl (0.5736, 0.5403, 0.8448)
Cl (0.5736, 0.9597, 0.8448)
Cl (0.6735, 0.2500, 0.1179)
Cl (0.6961, 0.7500, 0.1625)
Cl (0.8039, 0.2500, 0.6625)
Cl (0.8265, 0.7500, 0.6179)
Cl (0.9264, 0.0403, 0.3448)
Cl (0.9264, 0.4597, 0.3448)
Cl (0.9936, 0.7500, 0.0868)

---

8.
Computed, not measured: an optimized crystal structure of CeYMg2Ni8 at the PBE-GGA level of DFT.

Output
- total DFT energy (no corrections) (eV per atom) = -5.55
- magnetization (μB per formula unit) = 0.01

Unit cell a=8.5610 b=8.5610 c=8.5610 alpha=33.57 beta=33.57 gamma=33.57
Element x y z (fractional)
Ce (0.0000, 0.0000, 0.0000)
Y (0.5001, 0.5001, 0.5001)
Mg (0.1255, 0.1255, 0.1255)
Mg (0.6248, 0.6248, 0.6248)
Ni (0.0598, 0.5641, 0.5641)
Ni (0.0640, 0.0640, 0.5607)
Ni (0.0640, 0.5607, 0.0640)
Ni (0.3121, 0.3121, 0.3121)
Ni (0.5607, 0.0640, 0.0640)
Ni (0.5641, 0.0598, 0.5641)
Ni (0.5641, 0.5641, 0.0598)
Ni (0.8122, 0.8122, 0.8122)

---

9.
Computed, not measured: an optimized crystal structure of YMg14Bi at the PBE-GGA level of DFT.

Output
- total DFT energy (no corrections) (eV per atom) = -2.10
- magnetization (μB per formula unit) = 0.00

Unit cell a=10.4820 b=6.5388 c=6.5388 alpha=58.79 beta=90.00 gamma=90.00
Element x y z (fractional)
Y (0.0000, 0.0000, 0.0000)
Mg (0.0000, 0.0030, 0.4962)
Mg (0.0000, 0.4962, 0.0030)
Mg (0.2523, 0.6688, 0.6688)
Mg (0.2539, 0.1670, 0.1670)
Mg (0.2584, 0.1620, 0.6660)
Mg (0.2584, 0.6660, 0.1620)
Mg (0.5000, 0.0000, 0.0000)
Mg (0.5000, 0.5002, 0.5002)
Mg (0.5000, 0.5000, 0.9989)
Mg (0.5000, 0.9989, 0.5000)
Mg (0.7416, 0.1620, 0.6660)
Mg (0.7416, 0.6660, 0.1620)
Mg (0.7461, 0.1670, 0.1670)
Mg (0.7477, 0.6688, 0.6688)
Bi (0.0000, 0.4988, 0.4988)

---

10.
Computed, not measured: an optimized crystal structure of Tm2MgRu at the PBE-GGA level of DFT.

Output
- total DFT energy (no corrections) (eV per atom) = -5.20

Unit cell a=4.9581 b=4.9581 c=4.9581 alpha=60.00 beta=60.00 gamma=60.00
Element x y z (fractional)
Tm (0.2500, 0.2500, 0.2500)
Tm (0.7500, 0.7500, 0.7500)
Mg (0.0000, 0.0000, 0.0000)
Ru (0.5000, 0.5000, 0.5000)

---

11.
Computed, not measured: an optimized crystal structure of YCd2 at the PBE-GGA level of DFT.

Output
- total DFT energy (no corrections) (eV per atom) = -3.10

Unit cell a=4.9685 b=4.9685 c=3.4947 alpha=90.00 beta=90.00 gamma=120.00
Element x y z (fractional)
Y (0.0000, 0.0000, 0.0000)
Cd (0.3333, 0.6667, 0.5000)
Cd (0.6667, 0.3333, 0.5000)

---

12.
Computed, not measured: an optimized crystal structure of PrZnSn at the PBE-GGA level of DFT.

Output
- total DFT energy (no corrections) (eV per atom) = -4.00

Unit cell a=4.6016 b=4.6016 c=16.6315 alpha=90.00 beta=90.00 gamma=120.00
Element x y z (fractional)
Pr (0.0000, 0.0000, 0.0000)
Pr (0.0000, 0.0000, 0.2500)
Pr (0.0000, 0.0000, 0.5000)
Pr (0.0000, 0.0000, 0.7500)
Zn (0.3333, 0.6667, 0.1551)
Zn (0.3333, 0.6667, 0.3449)
Zn (0.6667, 0.3333, 0.6551)
Zn (0.6667, 0.3333, 0.8449)
Sn (0.3333, 0.6667, 0.6157)
Sn (0.3333, 0.6667, 0.8843)
Sn (0.6667, 0.3333, 0.1157)
Sn (0.6667, 0.3333, 0.3843)

---

13.
Computed, not measured: an optimized crystal structure of KAlO2 at the PBE-GGA level of DFT.

Output
- total DFT energy (no corrections) (eV per atom) = -6.19
- magnetization (μB per formula unit) = 0.00

Unit cell a=5.6987 b=5.6987 c=5.6987 alpha=60.00 beta=60.00 gamma=60.00
Element x y z (fractional)
K (0.1250, 0.1250, 0.1250)
K (0.8750, 0.8750, 0.8750)
Al (0.3750, 0.3750, 0.3750)
Al (0.6250, 0.6250, 0.6250)
O (0.0000, 0.5000, 0.5000)
O (0.5000, 0.0000, 0.5000)
O (0.5000, 0.5000, 0.0000)
O (0.5000, 0.5000, 0.5000)

---

14.
Computed, not measured: an optimized crystal structure of Dy12Mn5C15 at the PBE-GGA level of DFT.

Output
- total DFT energy (no corrections) (eV per atom) = -7.84

Unit cell a=10.4604 b=10.4604 c=5.0549 alpha=90.00 beta=90.00 gamma=120.00
Element x y z (fractional)
Dy (0.0000, 0.4305, 0.0000)
Dy (0.0000, 0.7941, 0.0000)
Dy (0.1863, 0.7309, 0.5000)
Dy (0.2059, 0.2059, 0.0000)
Dy (0.2691, 0.4553, 0.5000)
Dy (0.4305, 0.0000, 0.0000)
Dy (0.4553, 0.2691, 0.5000)
Dy (0.5447, 0.8137, 0.5000)
Dy (0.5695, 0.5695, 0.0000)
Dy (0.7309, 0.1863, 0.5000)
Dy (0.7941, 0.0000, 0.0000)
Dy (0.8137, 0.5447, 0.5000)
Mn (0.0000, 0.1536, 0.5000)
Mn (0.1536, 0.0000, 0.5000)
Mn (0.3333, 0.6667, 0.0000)
Mn (0.6667, 0.3333, 0.0000)
Mn (0.8464, 0.8464, 0.5000)
C (0.0000, 0.3249, 0.5000)
C (0.0000, 0.4546, 0.5000)
C (0.0000, 0.7991, 0.5000)
C (0.1940, 0.7177, 0.0000)
C (0.2009, 0.2009, 0.5000)
C (0.2823, 0.4764, 0.0000)
C (0.3249, 0.0000, 0.5000)
C (0.4546, 0.0000, 0.5000)
C (0.4764, 0.2823, 0.0000)
C (0.5236, 0.8060, 0.0000)
C (0.5454, 0.5454, 0.5000)
C (0.6751, 0.6751, 0.5000)
C (0.7177, 0.1940, 0.0000)
C (0.7991, 0.0000, 0.5000)
C (0.8060, 0.5236, 0.0000)

---

| no. | E_form (kcal/mol of atoms) |
| --- | --- |
| 1 | -6.0 |
| 2 | -8.3 |
| 3 | -14.4 |
| 4 | -3.2 |
| 5 | -26.0 |
| 6 | -56.7 |
| 7 | -53.9 |
| 8 | -9.1 |
| 9 | -1.2 |
| 10 | -5.6 |
| 11 | -7.7 |
| 12 | -14.9 |
| 13 | -65.7 |
| 14 | -8.2 |